Mg149Ru PBE optimized geometry; space-group type = P-6m2, No. 187
1.0
-3.983 12.601 8.881
-8.688 -13.323 0.733
9.084 -5.287 11.576
Mg Ru
149 1
direct
0.397 0.000 0.000
0.603 0.000 0.000
0.190 0.002 0.000
0.812 0.002 0.000
0.998 0.188 0.000
0.190 0.188 0.000
0.398 0.199 0.000
0.801 0.199 0.000
0.600 0.199 0.000
0.198 0.397 0.000
0.397 0.397 0.000
0.000 0.397 0.000
0.801 0.400 0.000
0.600 0.400 0.000
0.400 0.600 0.000
0.200 0.600 0.000
0.801 0.602 0.000
0.603 0.603 0.000
0.000 0.603 0.000
0.400 0.800 0.000
0.603 0.802 0.000
0.198 0.802 0.000
0.998 0.810 0.000
0.812 0.810 0.000
0.063 0.126 0.157
0.063 0.937 0.157
0.874 0.937 0.157
0.066 0.331 0.165
0.265 0.331 0.165
0.066 0.735 0.165
0.669 0.735 0.165
0.669 0.934 0.165
0.265 0.934 0.165
0.067 0.533 0.166
0.467 0.533 0.166
0.467 0.933 0.166
0.266 0.533 0.166
0.467 0.734 0.166
0.266 0.734 0.166
0.467 0.134 0.167
0.666 0.134 0.167
0.467 0.334 0.167
0.866 0.334 0.167
0.866 0.533 0.167
0.666 0.533 0.167
0.667 0.333 0.167
0.866 0.134 0.167
0.269 0.134 0.167
0.866 0.731 0.167
0.199 0.199 0.331
0.000 0.199 0.331
0.000 0.801 0.331
0.801 0.801 0.331
0.199 0.000 0.331
0.801 0.000 0.331
0.000 0.000 0.332
0.399 0.000 0.333
0.601 0.000 0.333
0.000 0.399 0.333
0.399 0.399 0.333
0.601 0.601 0.333
0.000 0.601 0.333
0.200 0.400 0.333
0.600 0.800 0.333
0.200 0.800 0.333
0.200 0.600 0.333
0.400 0.600 0.333
0.400 0.800 0.333
0.600 0.200 0.334
0.600 0.400 0.334
0.800 0.400 0.334
0.800 0.200 0.334
0.400 0.200 0.334
0.800 0.600 0.334
0.266 0.133 0.500
0.867 0.133 0.500
0.067 0.133 0.500
0.467 0.133 0.500
0.667 0.133 0.500
0.266 0.333 0.500
0.066 0.333 0.500
0.867 0.333 0.500
0.467 0.333 0.500
0.667 0.333 0.500
0.266 0.533 0.500
0.467 0.533 0.500
0.066 0.533 0.500
0.867 0.533 0.500
0.667 0.533 0.500
0.467 0.734 0.500
0.266 0.734 0.500
0.066 0.734 0.500
0.667 0.734 0.500
0.867 0.734 0.500
0.067 0.933 0.500
0.867 0.933 0.500
0.467 0.934 0.500
0.266 0.934 0.500
0.667 0.934 0.500
0.800 0.200 0.666
0.400 0.200 0.666
0.800 0.600 0.666
0.600 0.200 0.666
0.600 0.400 0.666
0.800 0.400 0.666
0.200 0.600 0.667
0.400 0.600 0.667
0.400 0.800 0.667
0.200 0.400 0.667
0.600 0.800 0.667
0.200 0.800 0.667
0.399 0.000 0.667
0.601 0.000 0.667
0.000 0.399 0.667
0.399 0.399 0.667
0.601 0.601 0.667
0.000 0.601 0.667
0.000 0.000 0.668
0.199 0.199 0.669
0.000 0.199 0.669
0.000 0.801 0.669
0.801 0.801 0.669
0.199 0.000 0.669
0.801 0.000 0.669
0.866 0.134 0.833
0.269 0.134 0.833
0.866 0.731 0.833
0.667 0.333 0.833
0.467 0.134 0.833
0.666 0.134 0.833
0.467 0.334 0.833
0.866 0.334 0.833
0.866 0.533 0.833
0.666 0.533 0.833
0.266 0.533 0.834
0.467 0.734 0.834
0.266 0.734 0.834
0.067 0.533 0.834
0.467 0.533 0.834
0.467 0.933 0.834
0.066 0.331 0.835
0.265 0.331 0.835
0.066 0.735 0.835
0.669 0.735 0.835
0.669 0.934 0.835
0.265 0.934 0.835
0.063 0.126 0.843
0.063 0.937 0.843
0.874 0.937 0.843
0.000 0.000 0.000

---

Mg3Ru2 PBE optimized geometry; space-group type = P4_132, No. 213
1.0
-0.918 1.616 6.712
5.999 -3.165 1.583
3.417 5.990 -0.975
Mg Ru
12 8
direct
0.625 0.294 0.544
0.706 0.044 0.875
0.544 0.625 0.294
0.956 0.375 0.794
0.294 0.544 0.625
0.456 0.125 0.206
0.044 0.875 0.706
0.794 0.956 0.375
0.125 0.206 0.456
0.375 0.794 0.956
0.875 0.706 0.044
0.206 0.456 0.125
0.676 0.676 0.676
0.926 0.574 0.426
0.574 0.426 0.926
0.426 0.926 0.574
0.176 0.824 0.324
0.824 0.324 0.176
0.324 0.176 0.824
0.074 0.074 0.074

---

MgSbRu2 PBE optimized geometry; space-group type = Fm-3m, No. 225
1.0
0.000 3.154 3.154
3.154 0.000 3.154
3.154 3.154 0.000
Mg Sb Ru
1 1 2
direct
0.500 0.500 0.500
0.000 0.000 0.000
0.250 0.250 0.250
0.750 0.750 0.750

---

MgSc3Ru2 PBE optimized geometry; space-group type = P4/mmm, No. 123
1.0
3.266 0.000 0.000
0.000 3.266 0.000
0.000 0.000 10.753
Mg Sc Ru
1 3 2
direct
0.500 0.500 0.500
0.000 0.000 0.000
0.000 0.000 0.713
0.000 0.000 0.287
0.500 0.500 0.847
0.500 0.500 0.153

---

MgURu2 PBE optimized geometry; space-group type = Fm-3m, No. 225
1.0
0.000 3.263 3.263
3.263 0.000 3.263
3.263 3.263 0.000
Mg U Ru
1 1 2
direct
0.500 0.500 0.500
0.000 0.000 0.000
0.250 0.250 0.250
0.750 0.750 0.750

---

MgS PBE optimized geometry; corrected total energy (MP2020 scheme) = -4.546 eV per atom; space-group type = Fm-3m, No. 225
1.0
-2.615 -2.615 0.000
-2.615 0.000 -2.615
0.000 -2.615 -2.615
Mg S
1 1
direct
0.000 0.000 0.000
0.500 0.500 0.500

---

MgS3 PBE optimized geometry; corrected total energy (MP2020 scheme) = -4.270 eV per atom; space-group type = Pmm2, No. 25
1.0
3.655 0.000 0.000
0.000 4.117 0.000
0.000 0.000 5.041
Mg S
1 3
direct
0.133 0.000 0.500
0.569 0.500 0.000
0.329 0.000 0.000
0.636 0.500 0.500

---

MgS PBE optimized geometry; maximum piezoelectric response = 0.34 C/m2; corrected total energy (MP2020 scheme) = -4.530 eV per atom; space-group type = F-43m, No. 216
1.0
-4.026 -0.168 0.002
-2.120 2.509 2.333
-2.142 2.977 -1.669
Mg S
1 1
direct
0.000 0.000 0.000
0.250 0.250 0.250

---

MgS PBE optimized geometry; corrected total energy (MP2020 scheme) = -4.539 eV per atom; space-group type = P6_3mc, No. 186
1.0
-2.119 2.214 -2.649
-1.756 -3.121 1.894
-1.864 3.962 4.802
Mg S
2 2
direct
0.333 0.667 0.997
0.667 0.333 0.497
0.667 0.333 0.878
0.333 0.667 0.378

---

MgTl6Sb2S8 PBE optimized geometry; relative energy among the computed polymorphs = 0.122 eV per formula unit; corrected total energy (MP2020 scheme) = -3.967 eV per atom; space-group type = P1, No. 1
1.0
6.445 -0.268 -0.414
-2.089 7.015 -0.981
1.161 -0.571 12.741
Mg Tl Sb S
1 6 2 8
direct
0.885 0.389 0.088
0.526 0.414 0.565
0.380 0.719 0.200
0.955 0.967 0.390
0.016 0.980 0.042
0.235 0.785 0.769
0.531 0.521 0.947
0.835 0.203 0.745
0.632 0.306 0.288
0.009 0.294 0.248
0.484 0.036 0.382
0.818 0.876 0.726
0.471 0.215 0.748
0.007 0.367 0.611
0.511 0.161 0.098
0.871 0.708 0.170
0.015 0.424 0.908

---

MgTl6Sb2S8 PBE optimized geometry; relative energy among the computed polymorphs = 0.000 eV per formula unit; corrected total energy (MP2020 scheme) = -3.975 eV per atom; space-group type = P1, No. 1
1.0
6.485 -0.303 -1.481
-1.792 6.764 0.320
-0.769 1.263 12.841
Mg Tl Sb S
1 6 2 8
direct
0.786 0.564 0.819
0.604 0.447 0.504
0.199 0.698 0.194
0.008 0.025 0.483
0.935 0.113 0.036
0.279 0.780 0.721
0.505 0.542 0.980
0.933 0.157 0.760
0.669 0.249 0.235
0.034 0.236 0.264
0.551 0.063 0.386
0.739 0.830 0.677
0.592 0.247 0.739
0.053 0.375 0.610
0.461 0.113 0.068
0.659 0.589 0.213
0.084 0.545 0.968

---

Mg2Sc3TiS8 PBE optimized geometry; corrected total energy (MP2020 scheme) = -6.458 eV per atom; space-group type = R-3m, No. 166
1.0
-3.409 2.275 6.328
-7.430 0.699 0.237
-4.154 -4.857 3.998
Mg Sc Ti S
2 3 1 8
direct
0.875 0.874 0.875
0.125 0.126 0.125
0.500 0.500 0.500
0.500 0.500 0.000
0.000 0.500 0.500
0.500 0.000 0.500
0.737 0.752 0.737
0.263 0.248 0.725
0.258 0.725 0.258
0.725 0.249 0.263
0.742 0.275 0.742
0.275 0.751 0.737
0.263 0.248 0.263
0.737 0.752 0.275

---

Mg2ScTi3S8 PBE optimized geometry; corrected total energy (MP2020 scheme) = -6.455 eV per atom; space-group type = C2/m, No. 12
1.0
6.415 0.043 3.773
2.179 6.023 3.772
0.066 0.046 7.433
Mg Sc Ti S
2 1 3 8
direct
0.874 0.874 0.874
0.126 0.126 0.126
0.500 0.500 0.500
0.500 0.500 0.000
0.000 0.500 0.500
0.500 0.000 0.500
0.741 0.741 0.741
0.254 0.254 0.723
0.254 0.723 0.254
0.723 0.254 0.254
0.746 0.277 0.746
0.278 0.746 0.746
0.259 0.259 0.259
0.746 0.746 0.277

---

MgScTiS4 PBE optimized geometry; corrected total energy (MP2020 scheme) = -6.453 eV per atom; space-group type = C2/m, No. 12
1.0
6.518 0.000 3.763
2.169 6.038 3.770
0.044 0.040 7.450
Mg Sc Ti S
2 2 2 8
direct
0.876 0.874 0.874
0.124 0.126 0.126
0.500 0.500 0.500
0.000 0.500 0.500
0.500 0.500 0.000
0.500 0.000 0.500
0.732 0.746 0.746
0.264 0.248 0.724
0.264 0.724 0.248
0.724 0.254 0.254
0.736 0.276 0.752
0.276 0.746 0.746
0.268 0.254 0.254
0.736 0.752 0.276

---

Mg2ScV3S8 PBE optimized geometry; corrected total energy (MP2020 scheme) = -6.449 eV per atom; space-group type = P-1, No. 2
1.0
6.338 -0.002 3.685
2.120 5.989 3.668
0.020 -0.006 7.335
Mg Sc V S
2 1 3 8
direct
0.875 0.875 0.875
0.125 0.125 0.125
0.500 0.500 0.500
0.500 0.500 0.000
0.000 0.500 0.500
0.500 0.000 0.500
0.738 0.738 0.738
0.252 0.253 0.720
0.253 0.720 0.253
0.720 0.253 0.252
0.747 0.280 0.747
0.280 0.747 0.748
0.262 0.262 0.262
0.748 0.747 0.280

---

Mg2ScW3S8 PBE optimized geometry; corrected total energy (MP2020 scheme) = -7.018 eV per atom; space-group type = P1, No. 1
1.0
6.334 0.139 3.920
2.243 5.933 3.917
0.222 0.155 7.455
Mg Sc W S
2 1 3 8
direct
0.896 0.895 0.903
0.138 0.141 0.148
0.471 0.471 0.475
0.537 0.536 0.935
0.948 0.531 0.535
0.532 0.948 0.535
0.764 0.763 0.758
0.228 0.228 0.743
0.234 0.738 0.226
0.737 0.234 0.226
0.727 0.289 0.723
0.290 0.727 0.723
0.274 0.275 0.273
0.724 0.725 0.298

---

What are the ΔE_f values for these records? In order: -0.024; -0.143; -0.224; -0.476; -0.207; -1.678; -0.768; -1.662; -1.671; -0.607; -0.614; -1.944; -1.719; -1.828; -1.457; -1.196 eV/atom.
What are the DFT total energy values for these records? In order: -1.68; -4.81; -6.29; -7.00; -8.07; -4.29; -3.89; -4.28; -4.29; -3.73; -3.74; -6.17; -6.17; -6.17; -6.16; -6.73 eV per atom.